Below is crystalline HoNiB4 at its relaxed geometry, with properties calculated at the r²SCAN level.

```
24
Lattice="-3.743 3.743 4.240 3.743 -3.743 4.240 3.743 3.743 -4.240" Properties=species:S:1:pos:R:3 pbc="T T T"
Ho 0.000 0.000 6.748
Ho 0.000 0.000 1.731
Ho 0.000 3.743 2.120
Ho 3.743 0.000 2.120
Ni 3.743 2.040 0.000
Ni 0.000 1.703 4.240
Ni 1.703 0.000 4.240
Ni 2.040 3.743 0.000
B 0.836 2.067 0.000
B 2.907 1.676 4.240
B 2.907 -1.676 4.240
B 0.836 5.418 0.000
B 5.418 0.836 0.000
B -1.676 2.907 4.240
B 2.067 0.836 0.000
B 1.676 2.907 4.240
B 1.999 1.999 -1.294
B 1.743 1.743 2.945
B 1.743 -1.743 2.945
B -1.743 1.743 2.945
B 1.743 1.743 5.534
B 1.999 1.999 1.294
B -1.743 1.743 5.534
B 1.743 -1.743 5.534
```

## Properties
- DFT total energy: -13.01 eV per atom
- Crystal system: tetragonal
- Formation enthalpy at 0 K: -61.3 kJ per mole of atoms